Entry 1:
Entry from the Materials Project: a geometry-optimized HgH8C2S2N4Cl4 structure (PBE-GGA).

Lattice parameters (Å, degrees): 8.782 15.117 11.964 90.00 120.68 90.00
Fractional coordinates of all 84 atoms:
Hg 0.215 0.020 0.323
Hg 0.215 0.480 0.823
Hg 0.785 0.520 0.177
Hg 0.785 0.980 0.677
H 0.051 0.138 0.505
H 0.051 0.362 0.005
H 0.123 0.233 0.604
H 0.123 0.267 0.104
H 0.225 0.082 0.879
H 0.225 0.418 0.379
H 0.253 0.599 0.097
H 0.253 0.901 0.597
H 0.293 0.143 0.024
H 0.293 0.357 0.524
H 0.371 0.617 0.618
H 0.371 0.883 0.118
H 0.400 0.665 0.074
H 0.400 0.835 0.574
H 0.423 0.062 0.808
H 0.423 0.438 0.308
H 0.577 0.562 0.692
H 0.577 0.938 0.192
H 0.600 0.165 0.426
H 0.600 0.335 0.926
H 0.629 0.117 0.882
H 0.629 0.383 0.382
H 0.707 0.643 0.476
H 0.707 0.857 0.976
H 0.747 0.099 0.403
H 0.747 0.401 0.903
H 0.775 0.582 0.621
H 0.775 0.918 0.121
H 0.877 0.733 0.896
H 0.877 0.767 0.396
H 0.949 0.638 0.995
H 0.949 0.862 0.495
C 0.139 0.705 0.979
C 0.139 0.795 0.479
C 0.467 0.141 0.958
C 0.467 0.359 0.458
C 0.533 0.641 0.542
C 0.533 0.859 0.042
C 0.861 0.205 0.521
C 0.861 0.295 0.021
S 0.156 0.700 0.398
S 0.156 0.800 0.898
S 0.398 0.717 0.418
S 0.398 0.783 0.918
S 0.602 0.217 0.082
S 0.602 0.283 0.582
S 0.844 0.200 0.102
S 0.844 0.300 0.602
N 0.022 0.191 0.543
N 0.022 0.309 0.043
N 0.273 0.652 0.052
N 0.273 0.848 0.552
N 0.314 0.125 0.950
N 0.314 0.375 0.450
N 0.489 0.605 0.622
N 0.489 0.895 0.122
N 0.511 0.105 0.878
N 0.511 0.395 0.378
N 0.686 0.625 0.550
N 0.686 0.875 0.050
N 0.727 0.152 0.448
N 0.727 0.348 0.948
N 0.978 0.691 0.957
N 0.978 0.809 0.457
Cl 0.131 0.525 0.217
Cl 0.131 0.975 0.717
Cl 0.152 0.603 0.675
Cl 0.152 0.897 0.175
Cl 0.291 0.159 0.214
Cl 0.291 0.341 0.714
Cl 0.362 0.077 0.544
Cl 0.362 0.423 0.044
Cl 0.638 0.577 0.956
Cl 0.638 0.923 0.456
Cl 0.709 0.659 0.286
Cl 0.709 0.841 0.786
Cl 0.848 0.103 0.825
Cl 0.848 0.397 0.325
Cl 0.869 0.025 0.283
Cl 0.869 0.475 0.783

Calculated values
The symmetry is P2_1/c (14). The total magnetic moment comes out at 0.0 Bohr magnetons per cell. The calculation puts the uncorrected energy at -4.8812 eV per atom. As for the formation energy: -0.53 eV per atom.

Entry 2:
Entry from the Materials Project: a geometry-optimized Ca5Zr4TiGe5O25 structure (PBE-GGA).

Lattice parameters (Å, degrees): 5.793 7.907 25.122 81.01 87.58 72.97
Fractional coordinates of all 80 atoms:
Ca 0.002 0.325 0.221
Ca 0.200 0.126 0.820
Ca 0.207 0.464 0.381
Ca 0.395 0.935 0.420
Ca 0.399 0.274 0.980
Ca 0.601 0.726 0.020
Ca 0.605 0.065 0.580
Ca 0.793 0.536 0.619
Ca 0.800 0.874 0.180
Ca 0.998 0.675 0.779
Zr 0.000 0.000 0.000
Zr 0.097 0.901 0.302
Zr 0.300 0.700 0.900
Zr 0.400 0.600 0.201
Zr 0.500 0.500 0.500
Zr 0.600 0.400 0.799
Zr 0.700 0.300 0.100
Zr 0.903 0.099 0.698
Ti 0.200 0.800 0.599
Ti 0.800 0.200 0.401
Ge 0.095 0.217 0.515
Ge 0.100 0.577 0.086
Ge 0.300 0.383 0.684
Ge 0.301 0.023 0.114
Ge 0.496 0.822 0.712
Ge 0.504 0.178 0.288
Ge 0.699 0.977 0.886
Ge 0.700 0.617 0.316
Ge 0.900 0.423 0.914
Ge 0.905 0.783 0.485
O 0.006 0.099 0.140
O 0.044 0.029 0.369
O 0.061 0.196 0.937
O 0.080 0.233 0.443
O 0.087 0.537 0.937
O 0.109 0.269 0.662
O 0.110 0.560 0.157
O 0.133 0.789 0.233
O 0.147 0.611 0.659
O 0.197 0.698 0.458
O 0.206 0.899 0.740
O 0.253 0.990 0.540
O 0.269 0.813 0.969
O 0.290 0.331 0.534
O 0.291 0.041 0.043
O 0.308 0.364 0.755
O 0.314 0.063 0.266
O 0.332 0.585 0.831
O 0.339 0.403 0.264
O 0.394 0.501 0.060
O 0.404 0.702 0.341
O 0.444 0.626 0.568
O 0.461 0.796 0.137
O 0.479 0.837 0.641
O 0.487 0.137 0.137
O 0.513 0.863 0.863
O 0.521 0.163 0.359
O 0.539 0.204 0.863
O 0.556 0.374 0.432
O 0.596 0.298 0.659
O 0.606 0.499 0.940
O 0.661 0.597 0.736
O 0.668 0.415 0.169
O 0.686 0.937 0.734
O 0.692 0.636 0.245
O 0.709 0.959 0.957
O 0.710 0.669 0.466
O 0.731 0.187 0.031
O 0.747 0.010 0.460
O 0.794 0.101 0.260
O 0.803 0.302 0.542
O 0.853 0.389 0.341
O 0.867 0.211 0.767
O 0.890 0.440 0.843
O 0.891 0.731 0.338
O 0.913 0.463 0.063
O 0.920 0.767 0.557
O 0.939 0.804 0.063
O 0.956 0.971 0.631
O 0.994 0.901 0.860

Calculated values
The symmetry is P-1 (2). The total magnetic moment comes out at 0.0 Bohr magnetons per cell. The calculation puts the uncorrected energy at -7.6618 eV per atom. As for the formation energy: -3.12 eV per atom.

Entry 3:
Entry from the Materials Project: a geometry-optimized Sr2CuSe2Cl2O6 structure (PBE-GGA).

Lattice parameters (Å, degrees): 5.269 6.618 13.528 90.00 111.46 90.00
Fractional coordinates of all 26 atoms:
Sr 0.219 0.217 0.232
Sr 0.219 0.283 0.732
Sr 0.781 0.717 0.268
Sr 0.781 0.783 0.768
Cu 0.500 0.000 0.000
Cu 0.500 0.500 0.500
Se 0.078 0.746 0.073
Se 0.078 0.754 0.573
Se 0.922 0.246 0.427
Se 0.922 0.254 0.927
Cl 0.417 0.644 0.885
Cl 0.417 0.856 0.385
Cl 0.583 0.144 0.615
Cl 0.583 0.356 0.115
O 0.124 0.070 0.896
O 0.124 0.430 0.396
O 0.142 0.594 0.181
O 0.142 0.906 0.681
O 0.378 0.609 0.614
O 0.378 0.891 0.114
O 0.622 0.109 0.886
O 0.622 0.391 0.386
O 0.858 0.094 0.319
O 0.858 0.406 0.819
O 0.876 0.570 0.604
O 0.876 0.930 0.104

Calculated values
The symmetry is P2_1/c (14). The total magnetic moment comes out at 2.0 Bohr magnetons per cell. The calculation puts the uncorrected energy at -5.2534 eV per atom. As for the formation energy: -1.89 eV per atom.

Entry 4:
Entry from the Materials Project: a geometry-optimized Ni structure (PBE-GGA).

Lattice parameters (Å, degrees): 3.506 3.506 3.506 90.00 90.00 90.00
Fractional coordinates of all 4 atoms:
Ni 0.000 0.000 0.000
Ni 0.000 0.500 0.500
Ni 0.500 0.000 0.500
Ni 0.500 0.500 0.000

Calculated values
The symmetry is Fm-3m (225). The offset from the most stable computed form comes out at 0.0 meV/atom. The calculation puts the uncorrected energy at -5.7801 eV per atom. As for the formation energy: 0.00 eV per atom.

Entry 5:
Entry from the Materials Project: a geometry-optimized Lu2TlCd structure (PBE-GGA).

Lattice parameters (Å, degrees): 7.410 7.410 7.410 90.00 90.00 90.00
Fractional coordinates of all 16 atoms:
Lu 0.250 0.250 0.250
Lu 0.250 0.250 0.750
Lu 0.250 0.750 0.250
Lu 0.250 0.750 0.750
Lu 0.750 0.250 0.250
Lu 0.750 0.250 0.750
Lu 0.750 0.750 0.250
Lu 0.750 0.750 0.750
Tl 0.000 0.000 0.000
Tl 0.000 0.500 0.500
Tl 0.500 0.000 0.500
Tl 0.500 0.500 0.000
Cd 0.000 0.000 0.500
Cd 0.000 0.500 0.000
Cd 0.500 0.000 0.000
Cd 0.500 0.500 0.500

Calculated values
The symmetry is Fm-3m (225). The calculation puts the uncorrected energy at -3.3629 eV per atom. As for the formation energy: -0.28 eV per atom.

Entry 6:
Entry from the Materials Project: a geometry-optimized Mn2Cu10Sb4S13 structure (PBE-GGA).

Lattice parameters (Å, degrees): 9.051 9.051 9.051 110.21 110.21 108.00
Fractional coordinates of all 29 atoms:
Mn 0.222 0.222 0.000
Mn 0.778 0.778 0.000
Cu 0.000 0.222 0.222
Cu 0.000 0.778 0.778
Cu 0.222 0.000 0.222
Cu 0.248 0.500 0.748
Cu 0.250 0.750 0.500
Cu 0.500 0.248 0.748
Cu 0.500 0.752 0.252
Cu 0.750 0.250 0.500
Cu 0.752 0.500 0.252
Cu 0.778 0.000 0.778
Sb 0.008 0.008 0.542
Sb 0.466 0.466 0.458
Sb 0.534 0.992 0.000
Sb 0.992 0.534 0.000
S 0.000 0.000 0.000
S 0.002 0.480 0.251
S 0.229 0.751 0.749
S 0.249 0.998 0.478
S 0.251 0.488 0.000
S 0.480 0.002 0.251
S 0.488 0.251 0.000
S 0.512 0.512 0.763
S 0.520 0.771 0.522
S 0.749 0.749 0.237
S 0.751 0.229 0.749
S 0.771 0.520 0.522
S 0.998 0.249 0.478

Calculated values
The symmetry is I-42m (121). The total magnetic moment comes out at 10.0 Bohr magnetons per cell. The calculation puts the uncorrected energy at -4.7121 eV per atom. As for the formation energy: -0.47 eV per atom.

Entry 7:
Entry from the Materials Project: a geometry-optimized Zr2Fe structure (PBE-GGA).

Lattice parameters (Å, degrees): 8.596 8.596 8.596 60.00 60.00 60.00
Fractional coordinates of all 24 atoms:
Zr 0.000 0.000 0.000
Zr 0.000 0.000 0.500
Zr 0.000 0.500 0.000
Zr 0.187 0.187 0.563
Zr 0.187 0.563 0.187
Zr 0.187 0.563 0.563
Zr 0.437 0.437 0.813
Zr 0.437 0.813 0.437
Zr 0.437 0.813 0.813
Zr 0.500 0.000 0.000
Zr 0.563 0.187 0.187
Zr 0.563 0.187 0.563
Zr 0.563 0.563 0.187
Zr 0.813 0.437 0.437
Zr 0.813 0.437 0.813
Zr 0.813 0.813 0.437
Fe 0.156 0.781 0.781
Fe 0.219 0.219 0.219
Fe 0.219 0.219 0.844
Fe 0.219 0.844 0.219
Fe 0.781 0.156 0.781
Fe 0.781 0.781 0.156
Fe 0.781 0.781 0.781
Fe 0.844 0.219 0.219

Calculated values
The symmetry is Fd-3m (227). The total magnetic moment comes out at 3.2 Bohr magnetons per cell. The calculation puts the uncorrected energy at -8.6020 eV per atom. As for the formation energy: -0.08 eV per atom.

Entry 8:
Entry from the Materials Project: a geometry-optimized AlAs2 structure (PBE-GGA).

Lattice parameters (Å, degrees): 9.472 9.472 9.472 130.88 121.77 79.58
Fractional coordinates of all 24 atoms:
Al 0.002 0.201 0.450
Al 0.249 0.299 0.301
Al 0.251 0.552 0.050
Al 0.498 0.948 0.199
Al 0.502 0.052 0.801
Al 0.749 0.448 0.950
Al 0.751 0.701 0.699
Al 0.998 0.799 0.550
As 0.000 0.000 0.000
As 0.000 0.500 0.500
As 0.006 0.256 0.750
As 0.199 0.750 0.949
As 0.250 0.083 0.833
As 0.250 0.583 0.333
As 0.301 0.250 0.551
As 0.494 0.244 0.250
As 0.500 0.000 0.500
As 0.500 0.500 0.000
As 0.506 0.756 0.750
As 0.699 0.750 0.449
As 0.750 0.417 0.667
As 0.750 0.917 0.167
As 0.801 0.250 0.051
As 0.994 0.744 0.250

Calculated values
The symmetry is Ibca (73). The total magnetic moment comes out at 0.0 Bohr magnetons per cell. The calculation puts the uncorrected energy at -4.3184 eV per atom. As for the formation energy: 0.04 eV per atom.

Entry 9:
Entry from the Materials Project: a geometry-optimized BaEuInBiO6 structure (PBE-GGA).

Lattice parameters (Å, degrees): 6.055 6.057 8.543 90.04 90.02 90.37
Fractional coordinates of all 20 atoms:
Ba 0.025 0.007 0.250
Ba 0.975 0.993 0.750
Eu 0.468 0.505 0.750
Eu 0.532 0.495 0.250
In 0.000 0.500 0.500
In 0.500 0.000 0.000
Bi 0.000 0.500 0.000
Bi 0.500 0.000 0.500
O 0.025 0.440 0.751
O 0.224 0.775 0.539
O 0.225 0.775 0.961
O 0.296 0.299 0.040
O 0.299 0.295 0.459
O 0.494 0.911 0.250
O 0.506 0.089 0.750
O 0.701 0.705 0.541
O 0.704 0.701 0.960
O 0.775 0.225 0.039
O 0.776 0.225 0.461
O 0.975 0.560 0.249

Calculated values
The symmetry is P-1 (2). The total magnetic moment comes out at 13.4 Bohr magnetons per cell. The offset from the most stable computed form comes out at 0.0 meV/atom. The calculation puts the uncorrected energy at -6.7734 eV per atom. As for the formation energy: -2.34 eV per atom.

Entry 10:
Entry from the Materials Project: a geometry-optimized Tl2S structure (PBE-GGA).

Lattice parameters (Å, degrees): 9.694 9.694 9.694 81.52 81.52 81.52
Fractional coordinates of all 27 atoms:
Tl 0.050 0.750 0.720
Tl 0.058 0.422 0.080
Tl 0.080 0.058 0.422
Tl 0.100 0.440 0.461
Tl 0.104 0.134 0.804
Tl 0.134 0.804 0.104
Tl 0.389 0.717 0.414
Tl 0.414 0.389 0.717
Tl 0.422 0.080 0.058
Tl 0.432 0.770 0.797
Tl 0.440 0.461 0.100
Tl 0.461 0.100 0.440
Tl 0.717 0.414 0.389
Tl 0.720 0.050 0.750
Tl 0.750 0.720 0.050
Tl 0.770 0.797 0.432
Tl 0.797 0.432 0.770
Tl 0.804 0.104 0.134
S 0.080 0.748 0.408
S 0.109 0.445 0.771
S 0.115 0.115 0.115
S 0.407 0.407 0.407
S 0.408 0.080 0.748
S 0.445 0.771 0.109
S 0.740 0.740 0.740
S 0.748 0.408 0.080
S 0.771 0.109 0.445

Calculated values
The symmetry is R3 (146). The calculation puts the uncorrected energy at -3.2965 eV per atom. As for the formation energy: -0.51 eV per atom.

Entry 11:
Entry from the Materials Project: a geometry-optimized K3H3S2O8F2 structure (PBE-GGA).

Lattice parameters (Å, degrees): 10.034 10.034 10.421 107.98 107.98 38.39
Fractional coordinates of all 36 atoms:
K 0.000 0.000 0.000
K 0.143 0.354 0.813
K 0.252 0.447 0.453
K 0.553 0.748 0.547
K 0.646 0.857 0.187
K 0.890 0.110 0.500
H 0.057 0.744 0.720
H 0.256 0.943 0.280
H 0.381 0.460 0.010
H 0.383 0.593 0.307
H 0.407 0.617 0.693
H 0.540 0.619 0.990
S 0.008 0.287 0.333
S 0.498 0.310 0.160
S 0.690 0.502 0.840
S 0.713 0.992 0.667
O 0.136 0.217 0.487
O 0.218 0.067 0.255
O 0.308 0.521 0.917
O 0.379 0.268 0.144
O 0.452 0.447 0.314
O 0.479 0.692 0.083
O 0.544 0.034 0.690
O 0.553 0.548 0.686
O 0.652 0.043 0.430
O 0.732 0.621 0.856
O 0.737 0.107 0.172
O 0.783 0.864 0.513
O 0.893 0.263 0.828
O 0.933 0.782 0.745
O 0.957 0.348 0.570
O 0.966 0.456 0.310
F 0.186 0.726 0.674
F 0.274 0.814 0.326
F 0.505 0.375 0.854
F 0.625 0.495 0.146

Calculated values
The symmetry is C2 (5). The total magnetic moment comes out at 0.0 Bohr magnetons per cell. The calculation puts the uncorrected energy at -4.8294 eV per atom. As for the formation energy: -1.47 eV per atom.